VASP calculation (PBE) on a relaxed Sr6GaN5 crystal.

Results
Energy of formation from the pure elements ... -0.74 eV per atom
Total magnetic moment ... 0.002 μB per formula unit

a = 6.720 Å, b = 6.720 Å, c = 13.096 Å
α = 90.00°, β = 90.00°, γ = 120.00°
Fractional positions:
Sr: 0.592 0.592 0.876
Sr: 0.408 0.000 0.876
Sr: 0.000 0.408 0.876
Sr: 0.000 0.592 0.376
Sr: 0.408 0.000 0.624
Sr: 0.408 0.408 0.376
Sr: 0.592 0.000 0.376
Sr: 0.408 0.408 0.124
Sr: 0.000 0.592 0.124
Sr: 0.000 0.408 0.624
Sr: 0.592 0.592 0.624
Sr: 0.592 0.000 0.124
Ga: 0.000 0.000 0.750
Ga: 0.000 0.000 0.250
N: 0.715 0.000 0.750
N: 0.715 0.715 0.250
N: 0.000 0.285 0.250
N: 0.000 0.715 0.750
N: 0.285 0.285 0.750
N: 0.333 0.667 0.000
N: 0.285 0.000 0.250
N: 0.667 0.333 0.000
N: 0.667 0.333 0.500
N: 0.333 0.667 0.500

=====

VASP calculation (PBE) on a relaxed Sr3Ga3N5 crystal.

Results
Energy of formation from the pure elements ... -0.75 eV per atom

a = 6.000 Å, b = 7.278 Å, c = 8.761 Å
α = 108.39°, β = 103.66°, γ = 95.44°
Fractional positions:
Sr: 0.668 0.862 0.874
Sr: 0.332 0.138 0.126
Sr: 0.183 0.588 0.392
Sr: 0.657 0.656 0.203
Sr: 0.343 0.344 0.797
Sr: 0.817 0.412 0.608
Ga: 0.710 0.955 0.569
Ga: 0.290 0.045 0.431
Ga: 0.092 0.684 0.027
Ga: 0.878 0.123 0.284
Ga: 0.908 0.316 0.973
Ga: 0.122 0.877 0.716
N: 0.614 0.053 0.382
N: 0.743 0.223 0.109
N: 0.044 0.892 0.222
N: 0.162 0.288 0.474
N: 0.956 0.108 0.778
N: 0.257 0.777 0.891
N: 0.386 0.947 0.618
N: 0.765 0.526 0.905
N: 0.235 0.474 0.095
N: 0.838 0.712 0.526

=====

VASP calculation (PBE) on a relaxed Sr3Ga2N4 crystal.

Results
Energy of formation from the pure elements ... -0.76 eV per atom

a = 5.992 Å, b = 9.623 Å, c = 10.369 Å
α = 90.00°, β = 90.00°, γ = 90.00°
Fractional positions:
Sr: 0.250 0.595 0.500
Sr: 0.250 0.905 0.000
Sr: 0.750 0.405 0.500
Sr: 0.750 0.095 0.000
Sr: 0.392 0.588 0.154
Sr: 0.392 0.912 0.346
Sr: 0.108 0.588 0.846
Sr: 0.108 0.912 0.654
Sr: 0.608 0.412 0.846
Sr: 0.608 0.088 0.654
Sr: 0.892 0.412 0.154
Sr: 0.892 0.088 0.346
Ga: 0.839 0.750 0.250
Ga: 0.661 0.750 0.750
Ga: 0.161 0.250 0.750
Ga: 0.339 0.250 0.250
Ga: 0.250 0.230 0.000
Ga: 0.750 0.730 0.500
Ga: 0.750 0.770 0.000
Ga: 0.250 0.270 0.500
N: 0.493 0.167 0.404
N: 0.493 0.333 0.096
N: 0.007 0.167 0.596
N: 0.007 0.333 0.904
N: 0.507 0.833 0.596
N: 0.507 0.667 0.904
N: 0.993 0.833 0.404
N: 0.993 0.667 0.096
N: 0.122 0.375 0.354
N: 0.122 0.125 0.146
N: 0.378 0.375 0.646
N: 0.378 0.125 0.854
N: 0.878 0.875 0.854
N: 0.622 0.625 0.354
N: 0.622 0.875 0.146
N: 0.878 0.625 0.646

=====

VASP calculation (PBE) on a relaxed TaGaN2 crystal.

Results
Energy of formation from the pure elements ... -0.65 eV per atom
Total magnetic moment ... 0.000 μB per formula unit

a = 5.699 Å, b = 11.848 Å, c = 16.197 Å
α = 90.00°, β = 90.00°, γ = 90.00°
Fractional positions:
Ta: 0.783 0.995 0.309
Ta: 0.283 0.505 0.691
Ta: 0.217 0.495 0.191
Ta: 0.717 0.005 0.809
Ta: 0.217 0.005 0.691
Ta: 0.717 0.495 0.309
Ta: 0.783 0.505 0.809
Ta: 0.283 0.995 0.191
Ta: 0.748 0.262 0.437
Ta: 0.248 0.238 0.563
Ta: 0.252 0.762 0.063
Ta: 0.752 0.738 0.937
Ta: 0.252 0.738 0.563
Ta: 0.752 0.762 0.437
Ta: 0.748 0.238 0.937
Ta: 0.248 0.262 0.063
Ga: 0.269 0.965 0.428
Ga: 0.769 0.535 0.572
Ga: 0.731 0.465 0.072
Ga: 0.231 0.035 0.928
Ga: 0.731 0.035 0.572
Ga: 0.231 0.465 0.428
Ga: 0.269 0.535 0.928
Ga: 0.769 0.965 0.072
Ga: 0.208 0.186 0.355
Ga: 0.708 0.314 0.645
Ga: 0.792 0.686 0.145
Ga: 0.292 0.814 0.855
Ga: 0.792 0.814 0.645
Ga: 0.292 0.686 0.355
Ga: 0.208 0.314 0.855
Ga: 0.708 0.186 0.145
N: 0.076 0.300 0.466
N: 0.576 0.200 0.534
N: 0.924 0.800 0.034
N: 0.424 0.700 0.966
N: 0.924 0.700 0.534
N: 0.424 0.800 0.466
N: 0.076 0.200 0.966
N: 0.576 0.300 0.034
N: 0.589 0.391 0.391
N: 0.089 0.109 0.609
N: 0.411 0.891 0.109
N: 0.911 0.609 0.891
N: 0.411 0.609 0.609
N: 0.911 0.891 0.391
N: 0.589 0.109 0.891
N: 0.089 0.391 0.109
N: 0.826 0.148 0.355
N: 0.326 0.352 0.645
N: 0.174 0.648 0.145
N: 0.674 0.852 0.855
N: 0.174 0.852 0.645
N: 0.674 0.648 0.355
N: 0.826 0.352 0.855
N: 0.326 0.148 0.145
N: 0.549 0.469 0.205
N: 0.049 0.031 0.795
N: 0.451 0.969 0.295
N: 0.951 0.531 0.705
N: 0.451 0.531 0.795
N: 0.951 0.969 0.205
N: 0.549 0.031 0.705
N: 0.049 0.469 0.295

=====

VASP calculation (PBE) on a relaxed Ga4Te3N2 crystal.

Results
Energy of formation from the pure elements ... -0.21 eV per atom
Total magnetic moment ... 0.001 μB per formula unit

a = 6.374 Å, b = 11.340 Å, c = 11.995 Å
α = 90.00°, β = 90.00°, γ = 90.00°
Fractional positions:
Ga: 0.568 0.250 0.883
Ga: 0.068 0.250 0.617
Ga: 0.432 0.750 0.117
Ga: 0.932 0.750 0.383
Ga: 0.944 0.250 0.384
Ga: 0.444 0.250 0.116
Ga: 0.056 0.750 0.616
Ga: 0.556 0.750 0.884
Ga: 0.714 0.500 0.009
Ga: 0.214 0.000 0.491
Ga: 0.286 0.000 0.991
Ga: 0.786 0.500 0.509
Ga: 0.286 0.500 0.991
Ga: 0.786 0.000 0.509
Ga: 0.714 0.000 0.009
Ga: 0.214 0.500 0.491
Te: 0.017 0.250 0.158
Te: 0.517 0.250 0.342
Te: 0.983 0.750 0.842
Te: 0.483 0.750 0.658
Te: 0.514 0.522 0.336
Te: 0.014 0.978 0.164
Te: 0.486 0.022 0.664
Te: 0.986 0.478 0.836
Te: 0.486 0.478 0.664
Te: 0.986 0.022 0.836
Te: 0.514 0.978 0.336
Te: 0.014 0.522 0.164
N: 0.502 0.623 0.985
N: 0.002 0.877 0.515
N: 0.498 0.123 0.015
N: 0.998 0.377 0.485
N: 0.498 0.377 0.015
N: 0.998 0.123 0.485
N: 0.502 0.877 0.985
N: 0.002 0.623 0.515

=====

VASP calculation (PBE) on a relaxed Ti2GaN crystal.

Results
Energy of formation from the pure elements ... -1.30 eV per atom

a = 3.016 Å, b = 3.016 Å, c = 13.314 Å
α = 90.00°, β = 90.00°, γ = 120.00°
Fractional positions:
Ti: 0.333 0.667 0.913
Ti: 0.667 0.333 0.087
Ti: 0.667 0.333 0.413
Ti: 0.333 0.667 0.587
Ga: 0.333 0.667 0.250
Ga: 0.667 0.333 0.750
N: 0.000 0.000 0.500
N: 0.000 0.000 0.000

=====

Repeat the fifth record exactly.
VASP calculation (PBE) on a relaxed Ga4Te3N2 crystal.

Results
Energy of formation from the pure elements ... -0.21 eV per atom
Total magnetic moment ... 0.001 μB per formula unit

a = 6.374 Å, b = 11.340 Å, c = 11.995 Å
α = 90.00°, β = 90.00°, γ = 90.00°
Fractional positions:
Ga: 0.568 0.250 0.883
Ga: 0.068 0.250 0.617
Ga: 0.432 0.750 0.117
Ga: 0.932 0.750 0.383
Ga: 0.944 0.250 0.384
Ga: 0.444 0.250 0.116
Ga: 0.056 0.750 0.616
Ga: 0.556 0.750 0.884
Ga: 0.714 0.500 0.009
Ga: 0.214 0.000 0.491
Ga: 0.286 0.000 0.991
Ga: 0.786 0.500 0.509
Ga: 0.286 0.500 0.991
Ga: 0.786 0.000 0.509
Ga: 0.714 0.000 0.009
Ga: 0.214 0.500 0.491
Te: 0.017 0.250 0.158
Te: 0.517 0.250 0.342
Te: 0.983 0.750 0.842
Te: 0.483 0.750 0.658
Te: 0.514 0.522 0.336
Te: 0.014 0.978 0.164
Te: 0.486 0.022 0.664
Te: 0.986 0.478 0.836
Te: 0.486 0.478 0.664
Te: 0.986 0.022 0.836
Te: 0.514 0.978 0.336
Te: 0.014 0.522 0.164
N: 0.502 0.623 0.985
N: 0.002 0.877 0.515
N: 0.498 0.123 0.015
N: 0.998 0.377 0.485
N: 0.498 0.377 0.015
N: 0.998 0.123 0.485
N: 0.502 0.877 0.985
N: 0.002 0.623 0.515

=====

Question: energy of formation from the pure elements of number 6 (Ti2GaN)?
Answer: -1.30 eV per atom